An optimized crystal structure of La3NbP2S4O24. Source: the Materials Project database, functional PBE-GGA.

Properties
- Formation energy: -2.73 eV/atom
- ρ: 2.9 g cm⁻³

Unit cell a=9.4440 b=9.4471 c=24.1184 alpha=90.01 beta=90.00 gamma=119.95
Positions (direct):
1 La 0.0000 0.0000 0.0000
2 La 0.0006 0.0029 0.7229
3 La 0.0077 0.0108 0.2238
4 La 0.3416 0.6722 0.5507
5 La 0.3438 0.6675 0.0555
6 La 0.6708 0.3257 0.6710
7 La 0.6753 0.3386 0.8845
8 La 0.6788 0.3364 0.3893
9 La 0.6839 0.3425 0.1814
10 Nb 0.0063 0.0043 0.4976
11 Nb 0.3326 0.6656 0.3495
12 Nb 0.3528 0.6797 0.8412
13 P 0.0681 0.6981 0.4447
14 P 0.3148 0.3726 0.4446
15 P 0.6218 0.6782 0.9413
16 P 0.6366 0.9413 0.4444
17 P 0.6517 0.0315 0.7797
18 P 0.9868 0.3631 0.2831
19 S 0.0715 0.3946 0.9392
20 S 0.2819 0.0179 0.6055
21 S 0.3009 0.2856 0.1117
22 S 0.3311 0.9419 0.9396
23 S 0.3825 0.0177 0.2837
24 S 0.3832 0.3630 0.7801
25 S 0.6439 0.6290 0.2839
26 S 0.7223 0.0144 0.1119
27 S 0.7443 0.7260 0.6051
28 S 0.9902 0.6269 0.7804
29 S 0.9950 0.2681 0.6049
30 S 0.9985 0.7134 0.1117
31 O 0.0149 0.1941 0.6560
32 O 0.0154 0.8128 0.1613
33 O 0.0212 0.7946 0.7718
34 O 0.0264 0.2265 0.2732
35 O 0.0616 0.8644 0.4549
36 O 0.0662 0.2364 0.9397
37 O 0.1340 0.6653 0.4973
38 O 0.1378 0.4321 0.5989
39 O 0.1411 0.4864 0.9908
40 O 0.1449 0.6950 0.1068
41 O 0.1486 0.1994 0.4550
42 O 0.1533 0.6397 0.7925
43 O 0.1580 0.5233 0.3007
44 O 0.1756 0.4913 0.8903
45 O 0.1795 0.9490 0.9391
46 O 0.1880 0.9995 0.6565
47 O 0.1920 0.7272 0.3957
48 O 0.1932 0.0320 0.5554
49 O 0.1994 0.2024 0.1610
50 O 0.2141 0.9845 0.2749
51 O 0.2163 0.2267 0.7720
52 O 0.2207 0.1920 0.0604
53 O 0.2850 0.4690 0.3959
54 O 0.3037 0.8750 0.5998
55 O 0.3163 0.4499 0.1082
56 O 0.3196 0.8356 0.8900
57 O 0.3467 0.4703 0.4973
58 O 0.3510 0.8690 0.9905
59 O 0.3675 0.5136 0.7914
60 O 0.3731 0.8560 0.2979
61 O 0.4437 0.1703 0.6091
62 O 0.4459 0.3334 0.4285
63 O 0.4565 0.3314 0.8290
64 O 0.4575 0.1298 0.3308
65 O 0.4647 0.3035 0.1181
66 O 0.4747 0.1044 0.9318
67 O 0.4822 0.0821 0.2330
68 O 0.4866 0.3969 0.7305
69 O 0.4917 0.6391 0.2979
70 O 0.4924 0.8570 0.7932
71 O 0.5171 0.6907 0.8892
72 O 0.5208 0.6555 0.9931
73 O 0.5417 0.8765 0.4979
74 O 0.5429 0.8190 0.3959
75 O 0.5576 0.8680 0.1076
76 O 0.5801 0.7057 0.5992
77 O 0.6083 0.5291 0.2330
78 O 0.6161 0.1044 0.7278
79 O 0.6387 0.5291 0.9297
80 O 0.6761 0.1135 0.4312
81 O 0.6792 0.5522 0.3308
82 O 0.6825 0.1394 0.8302
83 O 0.7061 0.1617 0.1175
84 O 0.7353 0.5654 0.6095
85 O 0.7795 0.7967 0.2750
86 O 0.7845 0.8379 0.9410
87 O 0.7885 0.9927 0.7704
88 O 0.8040 0.9951 0.1614
89 O 0.8129 0.9522 0.4552
90 O 0.8177 0.0299 0.0609
91 O 0.8192 0.8223 0.6559
92 O 0.8427 0.2775 0.6086
93 O 0.8482 0.8163 0.5551
94 O 0.8500 0.5500 0.1168
95 O 0.8709 0.3278 0.3317
96 O 0.8825 0.5552 0.8289
97 O 0.8963 0.5676 0.4301
98 O 0.9066 0.3722 0.9321
99 O 0.9190 0.5242 0.7305
100 O 0.9212 0.4033 0.2305
101 O 0.9799 0.1638 0.5552
102 O 0.9838 0.7942 0.0606

An optimized crystal structure of Rb2LaNb5O15. Source: the Materials Project database, functional PBE-GGA.

Properties
- Formation energy: -3.10 eV/atom
- ρ: 5.1 g cm⁻³

Unit cell a=12.8797 b=12.8797 c=3.9852 alpha=90.00 beta=90.00 gamma=90.00
Positions (direct):
1 Rb 0.1695 0.3305 0.0000
2 Rb 0.3305 0.8305 0.0000
3 Rb 0.6695 0.1695 0.0000
4 Rb 0.8305 0.6695 0.0000
5 La 0.0000 0.0000 0.0000
6 La 0.5000 0.5000 0.0000
7 Nb 0.0000 0.5000 0.5000
8 Nb 0.0757 0.7861 0.5000
9 Nb 0.2139 0.0757 0.5000
10 Nb 0.2861 0.5757 0.5000
11 Nb 0.4243 0.2861 0.5000
12 Nb 0.5000 0.0000 0.5000
13 Nb 0.5757 0.7139 0.5000
14 Nb 0.7139 0.4243 0.5000
15 Nb 0.7861 0.9243 0.5000
16 Nb 0.9243 0.2139 0.5000
17 O 0.0000 0.5000 0.0000
18 O 0.0014 0.6565 0.5000
19 O 0.0592 0.1330 0.5000
20 O 0.0780 0.8081 0.0000
21 O 0.1330 0.9408 0.5000
22 O 0.1565 0.5014 0.5000
23 O 0.1919 0.0780 0.0000
24 O 0.2137 0.7137 0.5000
25 O 0.2863 0.2137 0.5000
26 O 0.3081 0.5780 0.0000
27 O 0.3435 0.0014 0.5000
28 O 0.3670 0.4408 0.5000
29 O 0.4220 0.3081 0.0000
30 O 0.4408 0.6330 0.5000
31 O 0.4986 0.1565 0.5000
32 O 0.5000 0.0000 0.0000
33 O 0.5014 0.8435 0.5000
34 O 0.5592 0.3670 0.5000
35 O 0.5780 0.6919 0.0000
36 O 0.6330 0.5592 0.5000
37 O 0.6565 0.9986 0.5000
38 O 0.6919 0.4220 0.0000
39 O 0.7137 0.7863 0.5000
40 O 0.7863 0.2863 0.5000
41 O 0.8081 0.9220 0.0000
42 O 0.8435 0.4986 0.5000
43 O 0.8670 0.0592 0.5000
44 O 0.9220 0.1919 0.0000
45 O 0.9408 0.8670 0.5000
46 O 0.9986 0.3435 0.5000

An optimized crystal structure of Rb2LaNb2O7. Source: the Materials Project database, functional PBE-GGA.

Properties
- Formation energy: -3.00 eV/atom
- ρ: 5.3 g cm⁻³

Unit cell a=11.7124 b=11.7124 c=5.7716 alpha=90.00 beta=90.00 gamma=28.54
Positions (direct):
1 Rb 0.0473 0.5695 0.7500
2 Rb 0.4305 0.9527 0.7500
3 Rb 0.5695 0.0473 0.2500
4 Rb 0.9527 0.4305 0.2500
5 La 0.2383 0.7617 0.7500
6 La 0.7617 0.2383 0.2500
7 Nb 0.1575 0.6558 0.2500
8 Nb 0.3442 0.8425 0.2500
9 Nb 0.6558 0.1575 0.7500
10 Nb 0.8425 0.3442 0.7500
11 O 0.0868 0.0868 0.0000
12 O 0.0868 0.0868 0.5000
13 O 0.0939 0.5542 0.2500
14 O 0.1995 0.8005 0.2500
15 O 0.4266 0.4266 0.0000
16 O 0.4266 0.4266 0.5000
17 O 0.4458 0.9061 0.2500
18 O 0.5542 0.0939 0.7500
19 O 0.5734 0.5734 0.0000
20 O 0.5734 0.5734 0.5000
21 O 0.8005 0.1995 0.7500
22 O 0.9061 0.4458 0.7500
23 O 0.9132 0.9132 0.0000
24 O 0.9132 0.9132 0.5000